Entry 1:
A geometry-optimized RbFe2S3 structure, computed with GGA-PBE.

Computed properties:
* energy of formation: -0.94 eV/atom
* symmetry: Cmcm
* crystal system: orthorhombic

abc: 7.3694 7.3694 5.1645
angles: 90.00 90.00 103.46
Last column: nearest neighbours and their distance in Å.
Sites, in units of the cell vectors:
Rb (0.1760, 0.8240, 0.7500)  8 S 3.44-3.62
Rb (0.8240, 0.1760, 0.2500)  8 S 3.44-3.62
Fe (0.3609, 0.3609, 0.0000)  4 S 2.12-2.18
Fe (0.3609, 0.3609, 0.5000)  4 S 2.12-2.18
Fe (0.6391, 0.6391, 0.0000)  4 S 2.12-2.18
Fe (0.6391, 0.6391, 0.5000)  4 S 2.12-2.18
S (0.1275, 0.3344, 0.7500)  2 Fe 2.12
S (0.3344, 0.1275, 0.2500)  2 Fe 2.12
S (0.3949, 0.6051, 0.2500)  4 Fe 2.18
S (0.6051, 0.3949, 0.7500)  4 Fe 2.18
S (0.6656, 0.8725, 0.7500)  2 Fe 2.12
S (0.8725, 0.6656, 0.2500)  2 Fe 2.12


Entry 2:
A geometry-optimized RbFe2Se3 structure, computed with GGA-PBE.

Computed properties:
* size of the total moment: 5.6 μB per formula unit
* energy of formation: -0.74 eV/atom
* symmetry: Cmcm
* crystal system: orthorhombic

abc: 7.7653 7.7653 5.4538
angles: 90.00 90.00 102.84
Last column: nearest neighbours and their distance in Å.
Sites, in units of the cell vectors:
Rb (0.1657, 0.8343, 0.7500)  8 Se 3.59-3.75
Rb (0.8343, 0.1657, 0.2500)  8 Se 3.59-3.75
Fe (0.3691, 0.3691, 0.0000)  4 Se 2.35-2.44, 1 Fe 2.53
Fe (0.3691, 0.3691, 0.5000)  4 Se 2.35-2.44, 1 Fe 2.53
Fe (0.6309, 0.6309, 0.0000)  4 Se 2.35-2.44, 1 Fe 2.53
Fe (0.6309, 0.6309, 0.5000)  4 Se 2.35-2.44, 1 Fe 2.53
Se (0.1189, 0.3436, 0.7500)  2 Fe 2.35
Se (0.3436, 0.1189, 0.2500)  2 Fe 2.35
Se (0.3704, 0.6296, 0.2500)  4 Fe 2.44
Se (0.6296, 0.3704, 0.7500)  4 Fe 2.44
Se (0.6564, 0.8811, 0.7500)  2 Fe 2.35
Se (0.8811, 0.6564, 0.2500)  2 Fe 2.35


Entry 3:
A geometry-optimized Rb7Fe4Te8 structure, computed with GGA-PBE.

Computed properties:
* size of the total moment: 2.2 μB per formula unit
* energy of formation: -0.67 eV/atom
* symmetry: C2/c
* crystal system: monoclinic

abc: 11.0606 11.0606 17.8218
angles: 115.12 115.12 48.08
Last column: nearest neighbours and their distance in Å.
Sites, in units of the cell vectors:
Rb (0.0126, 0.5013, 0.8845)  6 Te 3.65-4.08, 2 Fe 3.88-3.92
Rb (0.0227, 0.4909, 0.6358)  4 Te 3.70-3.74
Rb (0.2418, 0.7506, 0.5082)  5 Te 3.69-3.98, 2 Fe 3.91-3.99
Rb (0.2446, 0.7554, 0.7500)  8 Te 3.69-3.98, 4 Fe 3.81-3.82
Rb (0.2494, 0.7582, 0.9918)  5 Te 3.69-3.98, 2 Fe 3.91-3.99
Rb (0.4909, 0.0227, 0.1358)  4 Te 3.70-3.74
Rb (0.4987, 0.9874, 0.6155)  6 Te 3.65-4.08, 2 Fe 3.88-3.92
Rb (0.5013, 0.0126, 0.3845)  6 Te 3.65-4.08, 2 Fe 3.88-3.92
Rb (0.5091, 0.9773, 0.8642)  4 Te 3.70-3.74
Rb (0.7506, 0.2418, 0.0082)  5 Te 3.69-3.98, 2 Fe 3.91-3.99
Rb (0.7554, 0.2446, 0.2500)  8 Te 3.69-3.98, 4 Fe 3.81-3.82
Rb (0.7582, 0.2494, 0.4918)  5 Te 3.69-3.98, 2 Fe 3.91-3.99
Rb (0.9773, 0.5091, 0.3642)  4 Te 3.70-3.74
Rb (0.9874, 0.4987, 0.1155)  6 Te 3.65-4.08, 2 Fe 3.88-3.92
Fe (0.1024, 0.7962, 0.2744)  3 Fe 2.57-2.58, 4 Te 2.59-2.63
Fe (0.2038, 0.8976, 0.2256)  3 Fe 2.57-2.58, 4 Te 2.59-2.63
Fe (0.3046, 0.5927, 0.1722)  3 Fe 2.58, 4 Te 2.59-2.63
Fe (0.4073, 0.6954, 0.3278)  3 Fe 2.58, 4 Te 2.59-2.63
Fe (0.5927, 0.3046, 0.6722)  3 Fe 2.58, 4 Te 2.59-2.63
Fe (0.6954, 0.4073, 0.8278)  3 Fe 2.58, 4 Te 2.59-2.63
Fe (0.7962, 0.1024, 0.7744)  3 Fe 2.57-2.58, 4 Te 2.59-2.63
Fe (0.8976, 0.2038, 0.7256)  3 Fe 2.57-2.58, 4 Te 2.59-2.63
Te (0.0039, 0.1703, 0.8835)  3 Fe 2.62-2.63
Te (0.1200, 0.1475, 0.1852)  1 Fe 2.59
Te (0.1475, 0.1200, 0.6852)  1 Fe 2.59
Te (0.1703, 0.0039, 0.3835)  3 Fe 2.62-2.63
Te (0.3365, 0.3912, 0.5479)  1 Fe 2.59
Te (0.3387, 0.4883, 0.2924)  3 Fe 2.62-2.63
Te (0.3912, 0.3365, 0.0479)  1 Fe 2.59
Te (0.4883, 0.3387, 0.7924)  3 Fe 2.62-2.63
Te (0.5117, 0.6613, 0.2076)  3 Fe 2.62-2.63
Te (0.6088, 0.6635, 0.9521)  1 Fe 2.59
Te (0.6613, 0.5117, 0.7076)  3 Fe 2.62-2.63
Te (0.6635, 0.6088, 0.4521)  1 Fe 2.59
Te (0.8297, 0.9961, 0.6165)  3 Fe 2.62-2.63
Te (0.8525, 0.8800, 0.3148)  1 Fe 2.59
Te (0.8800, 0.8525, 0.8148)  1 Fe 2.59
Te (0.9961, 0.8297, 0.1165)  3 Fe 2.62-2.63


Please write out number 2 again, unchanged.
A geometry-optimized RbFe2Se3 structure, computed with GGA-PBE.

Computed properties:
* size of the total moment: 5.6 μB per formula unit
* energy of formation: -0.74 eV/atom
* symmetry: Cmcm
* crystal system: orthorhombic

abc: 7.7653 7.7653 5.4538
angles: 90.00 90.00 102.84
Last column: nearest neighbours and their distance in Å.
Sites, in units of the cell vectors:
Rb (0.1657, 0.8343, 0.7500)  8 Se 3.59-3.75
Rb (0.8343, 0.1657, 0.2500)  8 Se 3.59-3.75
Fe (0.3691, 0.3691, 0.0000)  4 Se 2.35-2.44, 1 Fe 2.53
Fe (0.3691, 0.3691, 0.5000)  4 Se 2.35-2.44, 1 Fe 2.53
Fe (0.6309, 0.6309, 0.0000)  4 Se 2.35-2.44, 1 Fe 2.53
Fe (0.6309, 0.6309, 0.5000)  4 Se 2.35-2.44, 1 Fe 2.53
Se (0.1189, 0.3436, 0.7500)  2 Fe 2.35
Se (0.3436, 0.1189, 0.2500)  2 Fe 2.35
Se (0.3704, 0.6296, 0.2500)  4 Fe 2.44
Se (0.6296, 0.3704, 0.7500)  4 Fe 2.44
Se (0.6564, 0.8811, 0.7500)  2 Fe 2.35
Se (0.8811, 0.6564, 0.2500)  2 Fe 2.35